(1)
A relaxed CsBaB3O6 crystal. Source: the Materials Project database, functional PBE.

Cell and atoms, written as extended XYZ:
```
66
Lattice="12.699 0.000 0.000 -6.350 10.998 0.000 0.000 0.000 7.650" Properties=species:S:1:pos:R:3 pbc="T T T"
Cs -2.307 3.996 0.000
Cs -4.415 7.647 0.000
Cs 1.935 3.351 0.000
Cs 4.615 0.000 0.000
Cs 4.042 7.002 0.000
Cs 8.830 0.000 0.000
Ba -2.329 4.034 3.825
Ba -4.459 7.723 3.825
Ba 1.891 3.275 3.825
Ba 4.658 0.000 3.825
Ba 4.021 6.964 3.825
Ba 8.917 0.000 3.825
B -0.278 1.418 2.169
B -4.983 10.530 2.169
B 1.367 0.468 5.481
B -1.362 6.870 2.178
B -1.255 8.032 5.465
B 0.021 5.895 5.465
B 1.081 6.383 2.178
B 0.281 8.742 2.178
B 1.234 8.069 5.465
B 5.094 2.965 2.185
B 4.988 4.128 5.472
B 6.631 2.256 5.472
B 7.584 2.929 2.185
B 6.371 5.103 2.185
B 7.430 4.615 5.472
B 5.261 10.048 2.169
B 6.071 9.580 5.481
B 11.611 0.950 5.481
O -5.296 10.088 5.517
O 0.262 1.368 5.517
O -2.608 6.408 2.261
O -0.472 2.727 2.259
O 1.054 0.910 2.132
O -3.752 10.043 2.259
O -1.199 6.620 5.507
O -2.397 8.711 5.373
O 0.004 4.567 5.373
O 2.598 0.955 5.391
O -0.269 5.964 2.140
O -1.050 8.249 2.140
O -0.017 8.726 5.507
O 1.216 6.650 5.507
O 3.953 2.286 2.277
O 2.104 5.536 2.261
O 1.319 7.782 2.140
O 0.503 10.053 2.261
O 3.742 4.590 5.389
O 5.300 2.749 5.510
O 6.853 0.945 5.389
O 2.393 8.718 5.373
O 6.332 2.272 2.143
O 5.151 4.378 2.143
O 6.080 5.033 5.510
O 7.669 3.216 5.510
O 4.224 9.225 2.259
O 8.743 2.280 2.277
O 7.566 4.348 2.143
O 6.353 6.431 2.277
O 5.877 8.270 5.391
O 5.034 10.541 5.517
O 10.573 1.773 5.391
O 8.454 5.462 5.389
O 11.384 0.457 2.132
O 6.611 9.630 2.132
```

Magnetization ... 0.00 μB per atom
Space-group type ... P321 (150)
Crystal system ... trigonal
Formation enthalpy at 0 K ... -281 kJ per mole of atoms
ρ ... 3.72 g/cm3
Calculated total energy ... -7.317 eV/atom

(2)
A relaxed Ba4La4Cu4B3O18 crystal. Source: the Materials Project database, functional PBE.

Cell and atoms, written as extended XYZ:
```
33
Lattice="7.757 0.000 0.000 0.000 8.146 0.000 0.000 0.000 7.755" Properties=species:S:1:pos:R:3 pbc="T T T"
Ba 1.879 2.010 0.000
Ba 1.879 6.136 0.000
Ba 5.879 2.010 0.000
Ba 5.879 6.136 0.000
La 1.959 2.155 3.733
La 1.959 5.991 3.733
La 5.798 2.155 3.733
La 5.798 5.991 3.733
Cu 0.000 0.000 1.976
Cu 0.000 4.073 2.103
Cu 3.879 0.000 2.260
Cu 3.879 4.073 1.969
B 0.000 4.073 5.867
B 3.879 0.000 5.907
B 3.879 4.073 5.899
O 0.000 0.000 7.575
O 0.000 2.088 2.201
O 0.000 2.831 5.202
O 0.000 4.073 7.254
O 0.000 5.315 5.202
O 0.000 6.058 2.201
O 1.936 4.073 2.242
O 1.946 0.000 2.647
O 2.671 4.073 5.211
O 3.879 0.000 7.296
O 3.879 1.224 5.234
O 3.879 2.065 2.166
O 3.879 4.073 7.290
O 3.879 6.081 2.166
O 3.879 6.923 5.234
O 5.086 4.073 5.211
O 5.812 0.000 2.647
O 5.822 4.073 2.242
```

Magnetization ... 0.00 μB per atom
Space-group type ... Pmm2 (25)
Crystal system ... orthorhombic
Formation enthalpy at 0 K ... -269 kJ per mole of atoms
ρ ... 5.69 g/cm3
Calculated total energy ... -7.049 eV/atom

(3)
A relaxed Ba2Nd2MgCu2B2O10 crystal. Source: the Materials Project database, functional PBE.

Cell and atoms, written as extended XYZ:
```
19
Lattice="5.595 0.000 0.000 0.000 5.595 0.000 0.000 0.000 8.647" Properties=species:S:1:pos:R:3 pbc="T T T"
Ba 0.000 0.000 0.000
Ba 2.797 2.797 0.524
Nd 0.000 0.000 3.892
Nd 2.797 2.797 3.635
Mg 2.797 2.797 6.267
Cu 0.000 2.797 2.304
Cu 2.797 0.000 2.304
B 0.000 2.797 6.163
B 2.797 0.000 6.163
O 0.000 2.797 7.565
O 0.983 2.074 5.462
O 1.304 4.174 2.344
O 1.421 1.304 2.344
O 2.074 4.612 5.462
O 2.797 0.000 7.565
O 3.521 0.983 5.462
O 4.174 4.291 2.344
O 4.291 1.421 2.344
O 4.612 3.521 5.462
```

Magnetization ... 0.00 μB per atom
Space-group type ... P4 (75)
Crystal system ... tetragonal
Formation enthalpy at 0 K ... -245 kJ per mole of atoms
ρ ... 5.50 g/cm3
Calculated total energy ... -6.700 eV/atom

(4)
A relaxed BaSmCuBO5 crystal. Source: the Materials Project database, functional PBE.

Cell and atoms, written as extended XYZ:
```
18
Lattice="5.527 0.000 0.000 0.000 5.527 0.000 0.000 0.000 7.590" Properties=species:S:1:pos:R:3 pbc="T T T"
Ba 0.000 0.000 0.000
Ba 2.764 2.764 0.000
Sm 0.000 0.000 3.836
Sm 2.764 2.764 3.836
Cu 0.000 2.764 5.496
Cu 2.764 0.000 5.496
B 0.000 2.764 1.861
B 2.764 0.000 1.861
O 0.000 2.764 0.462
O 0.864 1.900 2.523
O 1.368 4.132 5.358
O 1.396 1.368 5.358
O 1.900 4.664 2.523
O 2.764 0.000 0.462
O 3.627 0.864 2.523
O 4.132 4.159 5.358
O 4.159 1.396 5.358
O 4.664 3.627 2.523
```

Magnetization ... 0.00 μB per atom
Space-group type ... P4bm (100)
Crystal system ... tetragonal
Formation enthalpy at 0 K ... -275 kJ per mole of atoms
ρ ... 6.33 g/cm3
Calculated total energy ... -7.156 eV/atom

(5)
A relaxed BaTbCuBO5 crystal. Source: the Materials Project database, functional PBE.

Cell and atoms, written as extended XYZ:
```
18
Lattice="5.489 0.000 0.000 0.000 5.489 0.000 0.000 0.000 7.539" Properties=species:S:1:pos:R:3 pbc="T T T"
Ba 0.000 0.000 0.000
Ba 2.744 2.744 0.000
Tb 0.000 0.000 3.817
Tb 2.744 2.744 3.817
Cu 0.000 2.744 5.436
Cu 2.744 0.000 5.436
B 0.000 2.744 1.874
B 2.744 0.000 1.874
O 0.000 2.744 0.474
O 0.866 1.879 2.536
O 1.358 4.103 5.295
O 1.386 1.358 5.295
O 1.879 4.623 2.536
O 2.744 0.000 0.474
O 3.610 0.866 2.536
O 4.103 4.131 5.295
O 4.131 1.386 5.295
O 4.623 3.610 2.536
```

Magnetization ... 0.00 μB per atom
Space-group type ... P4bm (100)
Crystal system ... tetragonal
Formation enthalpy at 0 K ... -277 kJ per mole of atoms
ρ ... 6.59 g/cm3
Calculated total energy ... -7.164 eV/atom

(6)
A relaxed Ba3DyB9O18 crystal. Source: the Materials Project database, functional PBE.

Cell and atoms, written as extended XYZ:
```
62
Lattice="7.274 0.000 0.000 -3.637 6.300 0.000 0.000 0.000 17.503" Properties=species:S:1:pos:R:3 pbc="T T T"
Ba 0.000 0.000 4.376
Ba 0.000 0.000 13.127
Ba 0.000 4.200 2.315
Ba 0.000 4.200 6.436
Ba 3.637 2.100 11.067
Ba 3.637 2.100 15.188
Dy 0.000 0.000 0.000
Dy 0.000 0.000 8.751
B -0.948 3.119 13.127
B -1.401 4.506 10.183
B -1.401 4.506 16.071
B 0.436 2.834 10.183
B 0.436 2.834 16.071
B -0.462 5.561 13.127
B 2.672 1.040 1.432
B 2.672 1.040 7.320
B 2.228 2.380 4.376
B 1.410 3.919 13.127
B 0.965 5.260 10.183
B 0.965 5.260 16.071
B 4.099 0.739 4.376
B 3.201 3.466 1.432
B 3.201 3.466 7.320
B 5.038 1.794 1.432
B 5.038 1.794 7.320
B 4.585 3.180 4.376
O -2.709 4.755 10.168
O -2.709 4.755 16.086
O -1.844 4.203 4.376
O -0.935 3.170 10.185
O -0.935 3.170 16.069
O -1.364 4.466 13.127
O 0.874 1.576 10.168
O 0.874 1.576 16.086
O 1.802 0.031 1.416
O 1.802 0.031 7.335
O 0.451 2.885 13.127
O 0.919 2.601 4.376
O -0.424 5.524 10.185
O -0.424 5.524 16.069
O 2.712 0.504 13.127
O 2.724 1.052 4.376
O 1.359 3.905 10.185
O 1.359 3.905 16.069
O 2.278 2.395 1.434
O 2.278 2.395 7.317
O 0.913 5.248 13.127
O 0.925 5.795 4.376
O 4.061 0.776 1.434
O 4.061 0.776 7.317
O 2.718 3.699 13.127
O 3.186 3.415 4.376
O 1.835 6.268 10.168
O 1.835 6.268 16.086
O 2.763 4.724 1.416
O 2.763 4.724 7.335
O 5.001 1.833 4.376
O 4.572 3.129 1.434
O 4.572 3.129 7.317
O 5.481 2.096 13.127
O 6.346 1.545 1.416
O 6.346 1.545 7.335
```

Magnetization ... 0.00 μB per atom
Space-group type ... P6_3/m (176)
Crystal system ... hexagonal
Formation enthalpy at 0 K ... -302 kJ per mole of atoms
ρ ... 3.97 g/cm3
Calculated total energy ... -7.881 eV/atom

(7)
A relaxed Ba3ErB9O18 crystal. Source: the Materials Project database, functional PBE.

Cell and atoms, written as extended XYZ:
```
62
Lattice="7.271 0.000 0.000 -3.636 6.297 0.000 0.000 0.000 17.423" Properties=species:S:1:pos:R:3 pbc="T T T"
Ba 0.000 0.000 4.356
Ba 0.000 0.000 13.067
Ba 0.000 4.198 2.302
Ba 0.000 4.198 6.409
Ba 3.636 2.099 11.014
Ba 3.636 2.099 15.120
Er 0.000 0.000 0.000
Er 0.000 0.000 8.711
B -0.947 3.118 13.067
B -1.401 4.509 10.132
B -1.401 4.509 16.002
B 0.431 2.829 10.132
B 0.431 2.829 16.002
B -0.462 5.558 13.067
B 2.666 1.042 1.421
B 2.666 1.042 7.290
B 2.227 2.379 4.356
B 1.409 3.918 13.067
B 0.970 5.256 10.132
B 0.970 5.256 16.002
B 4.097 0.739 4.356
B 3.205 3.468 1.421
B 3.205 3.468 7.290
B 5.036 1.788 1.421
B 5.036 1.788 7.290
B 4.583 3.179 4.356
O -2.709 4.763 10.107
O -2.709 4.763 16.027
O -1.843 4.202 4.356
O -0.937 3.173 10.140
O -0.937 3.173 15.995
O -1.363 4.465 13.067
O 0.865 1.570 10.107
O 0.865 1.570 16.027
O 1.792 0.036 1.396
O 1.792 0.036 7.315
O 0.451 2.884 13.067
O 0.918 2.600 4.356
O -0.419 5.522 10.140
O -0.419 5.522 15.995
O 2.711 0.505 13.067
O 2.723 1.052 4.356
O 1.356 3.899 10.140
O 1.356 3.899 15.995
O 2.279 2.399 1.428
O 2.279 2.399 7.283
O 0.912 5.245 13.067
O 0.925 5.792 4.356
O 4.054 0.775 1.428
O 4.054 0.775 7.283
O 2.717 3.697 13.067
O 3.185 3.413 4.356
O 1.844 6.261 10.107
O 1.844 6.261 16.027
O 2.771 4.728 1.396
O 2.771 4.728 7.315
O 4.999 1.833 4.356
O 4.573 3.124 1.428
O 4.573 3.124 7.283
O 5.479 2.096 13.067
O 6.344 1.534 1.396
O 6.344 1.534 7.315
```

Magnetization ... 0.00 μB per atom
Space-group type ... P6_3/m (176)
Crystal system ... hexagonal
Formation enthalpy at 0 K ... -303 kJ per mole of atoms
ρ ... 4.02 g/cm3
Calculated total energy ... -7.883 eV/atom

(8)
A relaxed Ba3ErB3O9 crystal. Source: the Materials Project database, functional PBE.

Cell and atoms, written as extended XYZ:
```
96
Lattice="9.480 0.000 0.000 -4.740 8.210 0.000 0.000 0.000 18.003" Properties=species:S:1:pos:R:3 pbc="T T T"
Ba 0.000 0.000 0.000
Ba 0.000 0.000 9.001
Ba -1.523 2.638 2.682
Ba -1.631 2.825 16.345
Ba -3.109 5.385 7.343
Ba -3.217 5.571 11.683
Ba 3.046 0.000 2.682
Ba 1.523 2.638 11.683
Ba 0.000 5.473 0.915
Ba 0.000 5.473 9.917
Ba 3.262 0.000 16.345
Ba 1.631 2.825 7.343
Ba 6.218 0.000 7.343
Ba 3.109 5.385 16.345
Ba 4.740 2.737 0.915
Ba 4.740 2.737 9.917
Ba 6.433 0.000 11.683
Ba 3.217 5.571 2.682
Er 0.000 0.000 5.083
Er 0.000 0.000 14.085
Er 0.000 5.473 4.985
Er 0.000 5.473 13.987
Er 4.740 2.737 4.985
Er 4.740 2.737 13.987
B -1.554 2.691 6.351
B -1.581 2.739 9.487
B -1.603 2.777 12.648
B -3.137 5.433 3.647
B -3.159 5.471 0.486
B -3.186 5.519 15.352
B 3.107 0.000 6.351
B 1.554 2.691 15.352
B 3.163 0.000 9.487
B 1.581 2.739 0.486
B 3.206 0.000 12.648
B 1.603 2.777 3.647
B 6.273 0.000 3.647
B 3.137 5.433 12.648
B 6.317 0.000 0.486
B 3.159 5.471 9.487
B 6.372 0.000 15.352
B 3.186 5.519 6.351
O -0.863 1.495 6.512
O -0.911 1.577 12.789
O -2.279 3.947 9.486
O -2.461 4.262 0.485
O -3.829 6.633 3.787
O -3.877 6.714 15.514
O -0.861 3.892 6.274
O -1.799 5.518 15.276
O -0.186 2.740 9.496
O -0.904 3.977 12.566
O -1.748 5.439 3.564
O -2.460 6.678 0.494
O 1.727 0.000 6.512
O 0.863 1.495 15.514
O 0.186 2.740 0.494
O -2.274 7.001 9.496
O 1.821 0.000 12.789
O 0.911 1.577 3.787
O 0.861 3.892 15.276
O -0.939 7.009 6.274
O 2.466 1.209 9.496
O 2.280 1.532 0.494
O 0.904 3.977 3.564
O -0.844 7.004 12.566
O 3.801 1.201 6.274
O 2.941 2.692 15.276
O 4.558 0.000 9.486
O 2.279 3.947 0.485
O 3.896 1.206 12.566
O 2.992 2.771 3.564
O 1.748 5.439 12.566
O 0.844 7.004 3.564
O 4.922 0.000 0.485
O 2.461 4.262 9.486
O 1.799 5.518 6.274
O 0.939 7.009 15.276
O 5.584 1.206 3.564
O 3.836 4.233 12.566
O 2.460 6.678 9.496
O 2.274 7.001 0.494
O 5.679 1.201 15.276
O 3.879 4.317 6.274
O 7.659 0.000 3.787
O 3.829 6.633 12.789
O 7.013 1.209 0.494
O 4.553 5.469 9.496
O 7.753 0.000 15.514
O 3.877 6.714 6.512
O 7.200 1.532 9.496
O 6.488 2.771 12.566
O 5.643 4.233 3.564
O 4.926 5.469 0.494
O 6.539 2.692 6.274
O 5.601 4.317 15.276
```

Magnetization ... 0.00 μB per atom
Space-group type ... P6_3cm (185)
Crystal system ... hexagonal
Formation enthalpy at 0 K ... -319 kJ per mole of atoms
ρ ... 5.37 g/cm3
Calculated total energy ... -7.603 eV/atom